First-principles (PBE-GGA) data for crystalline LiCrS2 at its relaxed geometry, as listed in the Materials Project.

POSCAR file:
```
LiCrS2
1.0
3.508 0.000 0.000
-1.754 3.038 0.000
0.000 0.000 5.979
Li Cr S
1 1 2
Direct
0.000 0.000 0.000
0.000 0.000 0.500
0.333 0.667 0.278
0.667 0.333 0.722
```

Summary:
Its formation energy is -1253 meV per atom. As for the uncorrected energy: -5.960 eV per atom.

=====

First-principles (PBE-GGA) data for crystalline Na2CaHfSiS2O12 at its relaxed geometry, as listed in the Materials Project.

POSCAR file:
```
Na2CaHfSiS2O12
1.0
7.999 -4.594 0.000
7.999 4.594 0.000
-0.071 0.000 23.073
Na Ca Hf Si S O
12 6 6 6 12 72
Direct
0.001 0.999 0.500
0.002 0.362 0.909
0.011 0.667 0.744
0.042 0.690 0.075
0.315 0.379 0.667
0.362 0.002 0.409
0.379 0.315 0.167
0.667 0.011 0.244
0.669 0.695 0.334
0.690 0.042 0.575
0.695 0.669 0.834
0.999 0.001 0.000
0.021 0.022 0.858
0.022 0.021 0.358
0.353 0.369 0.525
0.369 0.353 0.025
0.679 0.702 0.191
0.702 0.679 0.691
0.026 0.034 0.654
0.034 0.026 0.154
0.345 0.361 0.822
0.361 0.345 0.322
0.697 0.705 0.988
0.705 0.697 0.488
0.029 0.322 0.763
0.054 0.656 0.929
0.322 0.029 0.263
0.656 0.054 0.429
0.704 0.993 0.096
0.993 0.704 0.596
0.045 0.717 0.252
0.055 0.373 0.422
0.314 0.723 0.756
0.373 0.055 0.922
0.376 0.648 0.422
0.387 0.707 0.088
0.390 0.977 0.589
0.648 0.376 0.922
0.707 0.387 0.588
0.717 0.045 0.752
0.723 0.314 0.256
0.977 0.390 0.089
0.008 0.829 0.302
0.017 0.844 0.921
0.030 0.237 0.823
0.036 0.226 0.416
0.040 0.195 0.707
0.057 0.805 0.198
0.140 0.569 0.989
0.141 0.396 0.370
0.145 0.371 0.084
0.151 0.357 0.474
0.168 0.520 0.873
0.179 0.548 0.589
0.195 0.040 0.207
0.199 0.815 0.705
0.207 0.337 0.761
0.209 0.558 0.259
0.220 0.993 0.593
0.223 0.873 0.091
0.226 0.036 0.916
0.237 0.030 0.323
0.238 0.824 0.419
0.240 0.812 0.809
0.315 0.557 0.758
0.337 0.207 0.261
0.342 0.575 0.083
0.357 0.151 0.974
0.359 0.571 0.474
0.371 0.145 0.584
0.377 0.551 0.369
0.396 0.141 0.870
0.471 0.875 0.534
0.481 0.684 0.141
0.481 0.712 0.036
0.482 0.693 0.747
0.490 0.890 0.639
0.516 0.877 0.260
0.520 0.168 0.373
0.529 0.885 0.926
0.539 0.649 0.423
0.548 0.179 0.089
0.551 0.377 0.869
0.557 0.315 0.258
0.558 0.209 0.759
0.569 0.140 0.489
0.571 0.359 0.974
0.575 0.342 0.583
0.649 0.539 0.923
0.651 0.870 0.427
0.679 0.909 0.746
0.684 0.481 0.641
0.693 0.482 0.247
0.701 0.907 0.156
0.712 0.481 0.536
0.721 0.855 0.041
0.805 0.057 0.698
0.812 0.240 0.309
0.815 0.199 0.205
0.824 0.238 0.919
0.829 0.008 0.802
0.844 0.017 0.421
0.855 0.721 0.541
0.870 0.651 0.927
0.873 0.223 0.591
0.875 0.471 0.034
0.877 0.516 0.760
0.885 0.529 0.426
0.890 0.490 0.139
0.892 0.984 0.093
0.907 0.701 0.656
0.909 0.679 0.246
0.984 0.892 0.593
0.993 0.220 0.093
```

Summary:
Its formation energy is -2678 meV per atom. As for the uncorrected energy: -6.858 eV per atom.

=====

Q: The highest formation energy belongs to which entry?
A: LiCrS2

=====

Q: Among the records above, which one has the lowest uncorrected energy?
A: Na2CaHfSiS2O12

=====

Q: uncorrected energy of number 1 (LiCrS2)?
A: -5.960 eV per atom

=====

Q: Look up the uncorrected energy of the first one.
A: -5.960 eV per atom